[1]
Computed, not measured: a relaxed Mg2Bi2O5 crystal at the GGA-PBE level of DFT.

Calculated values
electronic total energy	-0.3981	Ry/atom
corrected total energy (MP2020 scheme)	-0.42615	Ry per atom
calculated volume	15.69	Å³/atom
formation enthalpy at 0 K	-1829	meV/atom

Cell lengths 6.347, 10.952, 4.064 Å; angles 90.00, 90.00, 90.00 degrees
Space group Pbam (No. 55)
Symmetry-distinct sites (fractional):
Mg1 0.131 0.096 0.000 [4 per cell]
Bi1 0.186 0.377 0.500 [4 per cell]
O1 0.000 0.000 0.500 [2 per cell]
O2 0.188 0.903 0.000 [4 per cell]
O3 0.228 0.689 0.500 [4 per cell]


[2]
Computed, not measured: a relaxed MgBi2P2O10 crystal at the GGA-PBE level of DFT.

Calculated values
electronic total energy	-0.4757	Ry/atom
corrected total energy (MP2020 scheme)	-0.48362	Ry per atom
calculated volume	14.08	Å³/atom
formation enthalpy at 0 K	-1934	meV/atom

Cell lengths 13.637, 15.036, 8.243 Å; angles 90.00, 90.00, 90.00 degrees
Space group Fdd2 (No. 43)
Symmetry-distinct sites (fractional):
Mg1 0.000 0.000 0.000 [8 per cell]
Bi1 0.116 0.126 0.576 [16 per cell]
P1 0.026 0.310 0.437 [16 per cell]
O1 0.003 0.452 0.944 [16 per cell]
O2 0.005 0.107 0.838 [16 per cell]
O3 0.037 0.344 0.614 [16 per cell]
O4 0.057 0.262 0.943 [16 per cell]
O5 0.121 0.263 0.378 [16 per cell]


[3]
Computed, not measured: a relaxed MgBi4P8O28 crystal at the GGA-PBE level of DFT.

Calculated values
electronic total energy	-0.5014	Ry/atom
corrected total energy (MP2020 scheme)	-0.53592	Ry per atom
calculated volume	15.16	Å³/atom
formation enthalpy at 0 K	-2438	meV/atom

Cell lengths 5.245, 9.012, 13.484 Å; angles 77.55, 89.03, 87.53 degrees
Space group P1 (No. 1)
Symmetry-distinct sites (fractional):
Mg1 0.000 0.000 0.000 [1 per cell]
Bi1 0.505 0.332 0.311 [1 per cell]
Bi2 0.543 0.835 0.810 [1 per cell]
Bi3 0.960 0.853 0.271 [1 per cell]
Bi4 0.980 0.394 0.761 [1 per cell]
P1 0.002 0.521 0.164 [1 per cell]
P2 0.007 0.128 0.440 [1 per cell]
P3 0.012 0.056 0.672 [1 per cell]
P4 0.027 0.661 0.943 [1 per cell]
P5 0.448 0.663 0.402 [1 per cell]
P6 0.468 0.082 0.129 [1 per cell]
P7 0.482 0.591 0.631 [1 per cell]
P8 0.485 0.189 0.915 [1 per cell]
O1 0.060 0.042 0.555 [1 per cell]
O2 0.070 0.013 0.376 [1 per cell]
O3 0.106 0.212 0.679 [1 per cell]
O4 0.161 0.661 0.385 [1 per cell]
O5 0.165 0.920 0.733 [1 per cell]
O6 0.172 0.270 0.414 [1 per cell]
O7 0.201 0.552 0.648 [1 per cell]
O8 0.244 0.978 0.125 [1 per cell]
O9 0.289 0.502 0.192 [1 per cell]
O10 0.315 0.665 0.925 [1 per cell]
O11 0.335 0.047 0.913 [1 per cell]
O12 0.387 0.334 0.844 [1 per cell]
O13 0.436 0.220 0.031 [1 per cell]
O14 0.444 0.148 0.224 [1 per cell]
O15 0.502 0.684 0.514 [1 per cell]
O16 0.564 0.803 0.333 [1 per cell]
O17 0.569 0.708 0.688 [1 per cell]
O18 0.590 0.513 0.392 [1 per cell]
O19 0.666 0.452 0.643 [1 per cell]
O20 0.721 0.181 0.438 [1 per cell]
O21 0.727 0.039 0.695 [1 per cell]
O22 0.730 0.004 0.119 [1 per cell]
O23 0.776 0.162 0.905 [1 per cell]
O24 0.864 0.375 0.214 [1 per cell]
O25 0.877 0.610 0.860 [1 per cell]
O26 0.881 0.667 0.184 [1 per cell]
O27 0.904 0.811 0.960 [1 per cell]
O28 0.987 0.527 0.044 [1 per cell]


[4]
Computed, not measured: a relaxed MgBi4P2O12 crystal at the GGA-PBE level of DFT.

Calculated values
electronic total energy	-0.4755	Ry/atom
corrected total energy (MP2020 scheme)	-0.50737	Ry per atom
calculated volume	14.07	Å³/atom
formation enthalpy at 0 K	-2305	meV/atom

Cell lengths 5.357, 23.674, 16.858 Å; angles 90.00, 90.00, 90.00 degrees
Space group Pbca (No. 61)
Symmetry-distinct sites (fractional):
Mg1 0.113 0.007 0.206 [8 per cell]
Bi1 0.148 0.068 0.994 [8 per cell]
Bi2 0.167 0.199 0.828 [8 per cell]
Bi3 0.175 0.195 0.158 [8 per cell]
Bi4 0.201 0.193 0.494 [8 per cell]
P1 0.123 0.079 0.368 [8 per cell]
P2 0.154 0.090 0.655 [8 per cell]
O1 0.060 0.601 0.905 [8 per cell]
O2 0.072 0.746 0.249 [8 per cell]
O3 0.084 0.047 0.720 [8 per cell]
O4 0.087 0.749 0.585 [8 per cell]
O5 0.089 0.748 0.412 [8 per cell]
O6 0.101 0.155 0.013 [8 per cell]
O7 0.111 0.560 0.616 [8 per cell]
O8 0.144 0.144 0.357 [8 per cell]
O9 0.162 0.562 0.134 [8 per cell]
O10 0.227 0.149 0.687 [8 per cell]
O11 0.229 0.548 0.302 [8 per cell]
O12 0.231 0.061 0.450 [8 per cell]


no.,size of the total moment (Bohr magnetons per cell)
1,0.00
2,0.00
3,0.03
4,0.00